Entry 1:
This record from the Materials Project database describes a geometry-optimized CsLaMg14O16 structure. The functional is PBE-GGA.

The structure in CIF format:
```
data_CsLaMg14O16
_chemical_formula_sum 'Cs1 La1 Mg14 O16'
_symmetry_space_group_name_H-M 'P 4/m m m'
_symmetry_Int_Tables_number 123
_symmetry_space_group_name_Hall '-P 4 2'
_cell_length_a 8.943
_cell_length_b 8.943
_cell_length_c 4.604
_cell_angle_alpha 90.00
_cell_angle_beta 90.00
_cell_angle_gamma 90.00
loop_
_atom_site_label
_atom_site_fract_x
_atom_site_fract_y
_atom_site_fract_z
Cs1 0.000 0.000 0.000
La1 0.500 0.500 0.000
Mg1 0.000 0.258 0.500
Mg2 0.000 0.500 0.000
Mg3 0.232 0.500 0.500
Mg4 0.244 0.244 0.000
O1 0.000 0.000 0.500
O2 0.000 0.285 0.000
O3 0.000 0.500 0.500
O4 0.237 0.500 0.000
O5 0.252 0.252 0.500
O6 0.500 0.500 0.500
```

Calculated values
For the energy above the most stable polymorph in this dataset, the calculation gives 0 meV per atom. The calculation puts the formation energy from the elements at -2.6878 eV/atom. The calculation puts the final energy at -5.701 eV/atom. As for the size of the total moment: 0.2 μB per cell.

---

Entry 2:
This record from the Materials Project database describes a geometry-optimized Cs3LaO3 structure. The functional is PBE-GGA.

The structure in CIF format:
```
data_Cs3LaO3
_chemical_formula_sum 'Cs12 La4 O12'
_symmetry_space_group_name_H-M 'P 1 21/c 1'
_symmetry_Int_Tables_number 14
_symmetry_space_group_name_Hall '-P 2ybc'
_cell_length_a 8.640
_cell_length_b 7.828
_cell_length_c 12.479
_cell_angle_alpha 90.00
_cell_angle_beta 94.62
_cell_angle_gamma 90.00
loop_
_atom_site_label
_atom_site_fract_x
_atom_site_fract_y
_atom_site_fract_z
Cs1 0.058 0.120 0.156
Cs2 0.348 0.160 0.924
Cs3 0.381 0.679 0.805
La1 0.165 0.590 0.070
O1 0.103 0.053 0.406
O2 0.251 0.644 0.543
O3 0.307 0.058 0.696
```

Calculated values
For the energy above the most stable polymorph in this dataset, the calculation gives 0 meV per atom. The calculation puts the formation energy from the elements at -2.1524 eV/atom. The calculation puts the final energy at -5.067 eV/atom. As for the size of the total moment: 0.0 μB per cell.

---

Entry 3:
This record from the Materials Project database describes a geometry-optimized Cs3LaO3 structure. The functional is PBE-GGA.

The structure in CIF format:
```
data_Cs3LaO3
_chemical_formula_sum 'Cs12 La4 O12'
_symmetry_space_group_name_H-M 'C 1 2/m 1'
_symmetry_Int_Tables_number 12
_symmetry_space_group_name_Hall '-C 2y'
_cell_length_a 8.215
_cell_length_b 13.263
_cell_length_c 7.834
_cell_angle_alpha 90.00
_cell_angle_beta 98.99
_cell_angle_gamma 90.00
loop_
_atom_site_label
_atom_site_fract_x
_atom_site_fract_y
_atom_site_fract_z
Cs1 0.000 0.212 0.000
Cs2 0.000 0.258 0.500
Cs3 0.146 0.500 0.851
La1 0.181 0.000 0.654
O1 0.102 0.000 0.353
O2 0.186 0.361 0.231
```

Calculated values
For the energy above the most stable polymorph in this dataset, the calculation gives 13 meV per atom. The calculation puts the formation energy from the elements at -2.1397 eV/atom. The calculation puts the final energy at -5.055 eV/atom. As for the size of the total moment: 0.0 μB per cell.

---

Entry 4:
This record from the Materials Project database describes a geometry-optimized CsLaS2O12 structure. The functional is PBE-GGA.

The structure in CIF format:
```
data_CsLaS2O12
_chemical_formula_sum 'Cs4 La4 S8 O48'
_symmetry_space_group_name_H-M 'P 1 21/c 1'
_symmetry_Int_Tables_number 14
_symmetry_space_group_name_Hall '-P 2ybc'
_cell_length_a 6.525
_cell_length_b 20.296
_cell_length_c 8.894
_cell_angle_alpha 90.00
_cell_angle_beta 92.20
_cell_angle_gamma 90.00
loop_
_atom_site_label
_atom_site_fract_x
_atom_site_fract_y
_atom_site_fract_z
Cs1 0.135 0.209 0.132
La1 0.383 0.635 0.712
S1 0.182 0.070 0.791
S2 0.381 0.716 0.106
O1 0.020 0.605 0.685
O2 0.149 0.000 0.768
O3 0.176 0.075 0.337
O4 0.194 0.608 0.464
O5 0.194 0.743 0.632
O6 0.276 0.104 0.659
O7 0.299 0.031 0.298
O8 0.299 0.524 0.877
O9 0.327 0.084 0.923
O10 0.364 0.690 0.949
O11 0.409 0.663 0.216
O12 0.442 0.236 0.883
```

Calculated values
The calculation puts the formation energy from the elements at -1.2911 eV/atom. The calculation puts the final energy at -5.884 eV/atom. As for the size of the total moment: 8.0 μB per cell.

---

Entry 5:
This record from the Materials Project database describes a geometry-optimized CsLaS2O8 structure. The functional is PBE-GGA.

The structure in CIF format:
```
data_CsLaS2O8
_chemical_formula_sum 'Cs4 La4 S8 O32'
_symmetry_space_group_name_H-M 'P 1 21/c 1'
_symmetry_Int_Tables_number 14
_symmetry_space_group_name_Hall '-P 2ybc'
_cell_length_a 8.131
_cell_length_b 5.551
_cell_length_c 18.953
_cell_angle_alpha 90.00
_cell_angle_beta 113.36
_cell_angle_gamma 90.00
loop_
_atom_site_label
_atom_site_fract_x
_atom_site_fract_y
_atom_site_fract_z
Cs1 0.022 0.234 0.384
La1 0.495 0.687 0.364
S1 0.300 0.236 0.254
S2 0.348 0.744 0.021
O1 0.219 0.053 0.778
O2 0.227 0.214 0.169
O3 0.239 0.562 0.538
O4 0.269 0.011 0.289
O5 0.301 0.723 0.937
O6 0.312 0.508 0.050
O7 0.461 0.186 0.937
O8 0.499 0.214 0.781
```

Calculated values
The calculation puts the formation energy from the elements at -2.5828 eV/atom. The calculation puts the final energy at -6.599 eV/atom. As for the size of the total moment: 0.0 μB per cell.

---

Entry 6:
This record from the Materials Project database describes a geometry-optimized CsLaS2 structure. The functional is PBE-GGA.

The structure in CIF format:
```
data_CsLaS2
_chemical_formula_sum 'Cs3 La3 S6'
_symmetry_space_group_name_H-M 'R -3 m'
_symmetry_Int_Tables_number 166
_symmetry_space_group_name_Hall '-R 3 2"'
_cell_length_a 4.3432
_cell_length_b 4.3432
_cell_length_c 24.1914
_cell_angle_alpha 90.00
_cell_angle_beta 90.00
_cell_angle_gamma 120.00
loop_
_atom_site_label
_atom_site_fract_x
_atom_site_fract_y
_atom_site_fract_z
Cs1 0.0000 0.0000 0.0000
La1 0.0000 0.0000 0.5000
S1 0.0000 0.0000 0.2295
```

Calculated values
The calculation puts the formation energy from the elements at -2.1231 eV/atom. The calculation puts the final energy at -5.398 eV/atom.

---

Entry 7:
This record from the Materials Project database describes a geometry-optimized CsLaZnTe3 structure. The functional is PBE-GGA.

The structure in CIF format:
```
data_CsLaZnTe3
_chemical_formula_sum 'Cs4 La4 Zn4 Te12'
_symmetry_space_group_name_H-M 'C m c m'
_symmetry_Int_Tables_number 63
_symmetry_space_group_name_Hall '-C 2c 2'
_cell_length_a 4.599
_cell_length_b 17.154
_cell_length_c 12.266
_cell_angle_alpha 90.00
_cell_angle_beta 90.00
_cell_angle_gamma 90.00
loop_
_atom_site_label
_atom_site_fract_x
_atom_site_fract_y
_atom_site_fract_z
Cs1 0.000 0.243 0.250
La1 0.000 0.500 0.000
Zn1 0.000 0.040 0.750
Te1 0.000 0.124 0.567
Te2 0.000 0.443 0.750
```

Calculated values
The calculation puts the formation energy from the elements at -1.3685 eV/atom. The calculation puts the final energy at -3.911 eV/atom. As for the size of the total moment: 0.0 μB per cell.

---

Entry 8:
This record from the Materials Project database describes a geometry-optimized CsLiMg14O15 structure. The functional is PBE-GGA.

The structure in CIF format:
```
data_CsLiMg14O15
_chemical_formula_sum 'Cs1 Li1 Mg14 O15'
_symmetry_space_group_name_H-M 'P m m 2'
_symmetry_Int_Tables_number 25
_symmetry_space_group_name_Hall 'P 2 -2'
_cell_length_a 4.180
_cell_length_b 8.235
_cell_length_c 10.698
_cell_angle_alpha 90.00
_cell_angle_beta 90.00
_cell_angle_gamma 90.00
loop_
_atom_site_label
_atom_site_fract_x
_atom_site_fract_y
_atom_site_fract_z
Cs1 0.000 0.000 0.000
Li1 0.000 0.500 0.571
Mg1 0.000 0.000 0.544
Mg2 0.000 0.232 0.333
Mg3 0.000 0.259 0.743
Mg4 0.000 0.500 0.042
Mg5 0.500 0.000 0.336
Mg6 0.500 0.000 0.736
Mg7 0.500 0.260 0.554
Mg8 0.500 0.262 0.140
Mg9 0.500 0.500 0.369
Mg10 0.500 0.500 0.828
O1 0.000 0.000 0.356
O2 0.000 0.000 0.736
O3 0.000 0.259 0.543
O4 0.000 0.303 0.153
O5 0.000 0.500 0.815
O6 0.500 0.000 0.150
O7 0.500 0.000 0.542
O8 0.500 0.250 0.758
O9 0.500 0.270 0.337
O10 0.500 0.500 0.027
O11 0.500 0.500 0.547
```

Calculated values
For the energy above the most stable polymorph in this dataset, the calculation gives 0 meV per atom. The calculation puts the formation energy from the elements at -2.6998 eV/atom. The calculation puts the final energy at -5.575 eV/atom. As for the size of the total moment: 0.0 μB per cell.

---

Entry 9:
This record from the Materials Project database describes a geometry-optimized CsLiMg6O7 structure. The functional is PBE-GGA.

The structure in CIF format:
```
data_CsLiMg6O7
_chemical_formula_sum 'Cs1 Li1 Mg6 O7'
_symmetry_space_group_name_H-M 'P 4 m m'
_symmetry_Int_Tables_number 99
_symmetry_space_group_name_Hall 'P 4 -2'
_cell_length_a 4.639
_cell_length_b 4.639
_cell_length_c 8.223
_cell_angle_alpha 90.00
_cell_angle_beta 90.00
_cell_angle_gamma 90.00
loop_
_atom_site_label
_atom_site_fract_x
_atom_site_fract_y
_atom_site_fract_z
Cs1 0.000 0.000 0.000
Li1 0.000 0.000 0.560
Mg1 0.000 0.500 0.345
Mg2 0.000 0.500 0.832
Mg3 0.500 0.500 0.104
Mg4 0.500 0.500 0.590
O1 0.000 0.000 0.340
O2 0.000 0.500 0.093
O3 0.000 0.500 0.601
O4 0.500 0.500 0.346
O5 0.500 0.500 0.846
```

Calculated values
For the energy above the most stable polymorph in this dataset, the calculation gives 103 meV per atom. The calculation puts the formation energy from the elements at -2.2349 eV/atom. The calculation puts the final energy at -5.050 eV/atom. As for the size of the total moment: 0.0 μB per cell.

---

Entry 10:
This record from the Materials Project database describes a geometry-optimized CsLiMg6O7 structure. The functional is PBE-GGA.

The structure in CIF format:
```
data_CsLiMg6O7
_chemical_formula_sum 'Cs1 Li1 Mg6 O7'
_symmetry_space_group_name_H-M 'P 4 m m'
_symmetry_Int_Tables_number 99
_symmetry_space_group_name_Hall 'P 4 -2'
_cell_length_a 4.512
_cell_length_b 4.512
_cell_length_c 9.521
_cell_angle_alpha 90.00
_cell_angle_beta 90.00
_cell_angle_gamma 90.00
loop_
_atom_site_label
_atom_site_fract_x
_atom_site_fract_y
_atom_site_fract_z
Cs1 0.000 0.000 0.000
Li1 0.000 0.000 0.495
Mg1 0.000 0.500 0.285
Mg2 0.000 0.500 0.707
Mg3 0.500 0.500 0.019
Mg4 0.500 0.500 0.481
O1 0.000 0.000 0.284
O2 0.000 0.000 0.709
O3 0.000 0.500 0.496
O4 0.000 0.500 0.976
O5 0.500 0.500 0.248
```

Calculated values
For the energy above the most stable polymorph in this dataset, the calculation gives 350 meV per atom. The calculation puts the formation energy from the elements at -1.9877 eV/atom. The calculation puts the final energy at -4.803 eV/atom. As for the size of the total moment: 0.7 μB per cell.

---

Entry 11:
This record from the Materials Project database describes a geometry-optimized CsLiMg6O7 structure. The functional is PBE-GGA.

The structure in CIF format:
```
data_CsLiMg6O7
_chemical_formula_sum 'Cs1 Li1 Mg6 O7'
_symmetry_space_group_name_H-M 'P 4 m m'
_symmetry_Int_Tables_number 99
_symmetry_space_group_name_Hall 'P 4 -2'
_cell_length_a 4.550
_cell_length_b 4.550
_cell_length_c 8.522
_cell_angle_alpha 90.00
_cell_angle_beta 90.00
_cell_angle_gamma 90.00
loop_
_atom_site_label
_atom_site_fract_x
_atom_site_fract_y
_atom_site_fract_z
Cs1 0.000 0.000 0.000
Li1 0.500 0.500 0.896
Mg1 0.000 0.000 0.433
Mg2 0.000 0.500 0.159
Mg3 0.000 0.500 0.677
Mg4 0.500 0.500 0.411
O1 0.000 0.000 0.654
O2 0.000 0.500 0.393
O3 0.000 0.500 0.909
O4 0.500 0.500 0.168
O5 0.500 0.500 0.646
```

Calculated values
For the energy above the most stable polymorph in this dataset, the calculation gives 157 meV per atom. The calculation puts the formation energy from the elements at -2.1809 eV/atom. The calculation puts the final energy at -4.996 eV/atom. As for the size of the total moment: 0.0 μB per cell.

---

Entry 12:
This record from the Materials Project database describes a geometry-optimized CsLiMg14O15 structure. The functional is PBE-GGA.

The structure in CIF format:
```
data_CsLiMg14O15
_chemical_formula_sum 'Cs1 Li1 Mg14 O15'
_symmetry_space_group_name_H-M 'P m m 2'
_symmetry_Int_Tables_number 25
_symmetry_space_group_name_Hall 'P 2 -2'
_cell_length_a 4.385
_cell_length_b 8.809
_cell_length_c 8.533
_cell_angle_alpha 90.00
_cell_angle_beta 90.00
_cell_angle_gamma 90.00
loop_
_atom_site_label
_atom_site_fract_x
_atom_site_fract_y
_atom_site_fract_z
Cs1 0.000 0.000 0.000
Li1 0.000 0.500 0.117
Mg1 0.000 0.000 0.575
Mg2 0.000 0.251 0.339
Mg3 0.000 0.285 0.858
Mg4 0.000 0.500 0.596
Mg5 0.500 0.000 0.341
Mg6 0.500 0.000 0.833
Mg7 0.500 0.252 0.600
Mg8 0.500 0.266 0.107
Mg9 0.500 0.500 0.347
Mg10 0.500 0.500 0.857
O1 0.000 0.000 0.351
O2 0.000 0.235 0.616
O3 0.000 0.274 0.100
O4 0.000 0.500 0.365
O5 0.000 0.500 0.832
O6 0.500 0.000 0.110
O7 0.500 0.000 0.605
O8 0.500 0.241 0.853
O9 0.500 0.251 0.355
O10 0.500 0.500 0.098
O11 0.500 0.500 0.606
```

Calculated values
For the energy above the most stable polymorph in this dataset, the calculation gives 36 meV per atom. The calculation puts the formation energy from the elements at -2.6637 eV/atom. The calculation puts the final energy at -5.539 eV/atom. As for the size of the total moment: 0.0 μB per cell.